Here is crystalline HfMnP at its relaxed geometry from Materials Project. Energies are from PBE.

Geometry as CIF:
```
data_HfMnP
_chemical_formula_sum 'Hf4 Mn4 P4'
_space_group_name_H-M_alt 'P n m a'
_space_group_IT_number 62
_cell_length_a 6.392
_cell_length_b 3.595
_cell_length_c 7.461
_cell_angle_alpha 90.00
_cell_angle_beta 90.00
_cell_angle_gamma 90.00
loop_
_space_group_symop_operation_xyz
'x,y,z'
'-x,-y,-z'
'-x+1/2,-y,z+1/2'
'x+1/2,y,-z+1/2'
'x+1/2,-y+1/2,-z+1/2'
'-x+1/2,y+1/2,z+1/2'
'-x,y+1/2,-z'
'x,-y+1/2,z'
loop_
_atom_site_label
_atom_site_type_symbol
_atom_site_fract_x
_atom_site_fract_y
_atom_site_fract_z
Hf1 Hf 0.032 0.250 0.175
Mn1 Mn 0.136 0.250 0.560
P1 P 0.233 0.750 0.372
```

## Properties
Energy of formation   -97.4 kJ/mol of atoms

Here is crystalline GePbN2 at its relaxed geometry from Materials Project. Energies are from PBE.

Geometry as CIF:
```
data_GePbN2
_chemical_formula_sum 'Ge8 Pb8 N16'
_space_group_name_H-M_alt 'C m c e'
_space_group_IT_number 64
_space_group_name_Hall '-C 2ac 2'
_cell_length_a 5.854
_cell_length_b 10.735
_cell_length_c 9.036
_cell_angle_alpha 90.00
_cell_angle_beta 90.00
_cell_angle_gamma 90.00
loop_
_atom_site_label
_atom_site_type_symbol
_atom_site_fract_x
_atom_site_fract_y
_atom_site_fract_z
Ge1 Ge 0.000 0.034 0.143
Pb1 Pb 0.000 0.164 0.461
N1 N 0.000 0.119 0.957
N2 N 0.250 0.096 0.250
```

## Properties
Energy of formation   8.1 kJ/mol of atoms
E above lowest polymorph   44 meV/atom
Size of the total moment   0.00 μB per formula unit

Here is crystalline SbF5 at its relaxed geometry from Materials Project. Energies are from PBE.

Geometry as CIF:
```
data_SbF5
_chemical_formula_sum 'Sb2 F10'
_space_group_name_H-M_alt 'P 1'
_space_group_IT_number 1
_cell_length_a 5.536
_cell_length_b 5.549
_cell_length_c 7.918
_cell_angle_alpha 109.55
_cell_angle_beta 96.91
_cell_angle_gamma 110.23
loop_
_space_group_symop_operation_xyz
'x,y,z'
loop_
_atom_site_label
_atom_site_type_symbol
_atom_site_fract_x
_atom_site_fract_y
_atom_site_fract_z
Sb1 Sb 0.000 0.000 0.000
Sb2 Sb 0.006 0.502 0.501
F1 F 0.091 0.334 0.251
F2 F 0.210 0.866 0.117
F3 F 0.250 0.402 0.619
F4 F 0.284 0.849 0.552
F5 F 0.301 0.224 0.951
F6 F 0.697 0.776 0.049
F7 F 0.727 0.155 0.452
F8 F 0.763 0.600 0.380
F9 F 0.788 0.132 0.884
F10 F 0.916 0.667 0.749
```

## Properties
Energy of formation   -248.1 kJ/mol of atoms
Size of the total moment   0.00 μB per formula unit

Here is crystalline ZnH18Ru2Br7N6 at its relaxed geometry from Materials Project. Energies are from PBE.

Geometry as CIF:
```
data_ZnH18Ru2Br7N6
_chemical_formula_sum 'Zn2 H36 Ru4 Br14 N12'
_space_group_name_H-M_alt 'P 1 21/m 1'
_space_group_IT_number 11
_cell_length_a 9.250
_cell_length_b 10.495
_cell_length_c 10.403
_cell_angle_alpha 90.00
_cell_angle_beta 96.10
_cell_angle_gamma 90.00
loop_
_space_group_symop_operation_xyz
'x,y,z'
'-x,-y,-z'
'-x,y+1/2,-z'
'x,-y+1/2,z'
loop_
_atom_site_label
_atom_site_type_symbol
_atom_site_fract_x
_atom_site_fract_y
_atom_site_fract_z
Zn1 Zn 0.237 0.250 0.007
H1 H 0.036 0.606 0.773
H2 H 0.047 0.520 0.642
H3 H 0.081 0.130 0.356
H4 H 0.244 0.646 0.133
H5 H 0.253 0.528 0.236
H6 H 0.304 0.670 0.841
H7 H 0.403 0.589 0.195
H8 H 0.416 0.750 0.759
H9 H 0.420 0.171 0.584
H10 H 0.432 0.250 0.722
Ru1 Ru 0.167 0.750 0.609
Ru2 Ru 0.306 0.750 0.367
Br1 Br 0.027 0.750 0.382
Br2 Br 0.029 0.750 0.993
Br3 Br 0.313 0.250 0.243
Br4 Br 0.323 0.570 0.535
Br5 Br 0.326 0.067 0.896
N1 N 0.027 0.610 0.674
N2 N 0.301 0.613 0.217
N3 N 0.311 0.750 0.784
N4 N 0.466 0.250 0.631
```

## Properties
Energy of formation   -51.7 kJ/mol of atoms
Size of the total moment   1.00 μB per formula unit

Here is crystalline NaLiZrSi6O15 at its relaxed geometry from Materials Project. Energies are from PBE.

Geometry as CIF:
```
data_NaLiZrSi6O15
_chemical_formula_sum 'Na8 Li8 Zr8 Si48 O120'
_space_group_name_H-M_alt 'C m c e'
_space_group_IT_number 64
_space_group_name_Hall '-C 2ac 2'
_cell_length_a 14.565
_cell_length_b 17.550
_cell_length_c 10.306
_cell_angle_alpha 90.00
_cell_angle_beta 90.00
_cell_angle_gamma 90.00
loop_
_atom_site_label
_atom_site_type_symbol
_atom_site_fract_x
_atom_site_fract_y
_atom_site_fract_z
Na1 Na 0.250 0.216 0.250
Li1 Li 0.247 0.000 0.000
Zr1 Zr 0.250 0.088 0.750
Si1 Si 0.108 0.128 0.482
Si2 Si 0.108 0.193 0.959
Si3 Si 0.110 0.074 0.189
O1 O 0.000 0.056 0.183
O2 O 0.000 0.107 0.502
O3 O 0.000 0.179 0.926
O4 O 0.125 0.219 0.507
O5 O 0.137 0.113 0.329
O6 O 0.138 0.141 0.085
O7 O 0.170 0.001 0.840
O8 O 0.171 0.175 0.834
O9 O 0.173 0.079 0.577
```

## Properties
Energy of formation   -312.8 kJ/mol of atoms
Size of the total moment   0.00 μB per formula unit

Here is crystalline Zn3Sn2Ru2 at its relaxed geometry from Materials Project. Energies are from PBE.

Geometry as CIF:
```
data_Zn3Sn2Ru2
_chemical_formula_sum 'Zn12 Sn8 Ru8'
_space_group_name_H-M_alt 'P n m a'
_space_group_IT_number 62
_cell_length_a 8.309
_cell_length_b 4.210
_cell_length_c 13.902
_cell_angle_alpha 90.00
_cell_angle_beta 90.00
_cell_angle_gamma 90.00
loop_
_space_group_symop_operation_xyz
'x,y,z'
'-x,-y,-z'
'-x+1/2,-y,z+1/2'
'x+1/2,y,-z+1/2'
'x+1/2,-y+1/2,-z+1/2'
'-x+1/2,y+1/2,z+1/2'
'-x,y+1/2,-z'
'x,-y+1/2,z'
loop_
_atom_site_label
_atom_site_type_symbol
_atom_site_fract_x
_atom_site_fract_y
_atom_site_fract_z
Zn1 Zn 0.035 0.250 0.041
Zn2 Zn 0.090 0.250 0.244
Zn3 Zn 0.157 0.750 0.630
Sn1 Sn 0.149 0.250 0.476
Sn2 Sn 0.154 0.250 0.804
Ru1 Ru 0.042 0.750 0.356
Ru2 Ru 0.150 0.750 0.132
```

## Properties
Energy of formation   -18.0 kJ/mol of atoms
Size of the total moment   0.00 μB per formula unit

Going through the records in order, we get uncorrected energy values of -9.187; -5.987; -4.471; -4.659; -7.752; -4.522 eV per atom.